No. 1
Entry from the Materials Project database: ZnFe3Sn2S8 after structural relaxation (GGA-PBE).

Geometry as CIF:
```
data_ZnFe3Sn2S8
_space_group_name_H-M_alt 'I m m 2'
_space_group_IT_number 44
_cell_length_a 7.125
_cell_length_b 7.246
_cell_length_c 10.083
_cell_angle_alpha 90.00
_cell_angle_beta 90.00
_cell_angle_gamma 90.00
loop_
_space_group_symop_operation_xyz
'x,y,z'
'-x,-y,z'
'-x,y,z'
'x,-y,z'
'x+1/2,y+1/2,z+1/2'
'-x+1/2,-y+1/2,z+1/2'
'-x+1/2,y+1/2,z+1/2'
'x+1/2,-y+1/2,z+1/2'
loop_
_atom_site_label
_atom_site_type_symbol
_atom_site_fract_x
_atom_site_fract_y
_atom_site_fract_z
Zn1 Zn 0.000 0.000 0.000
Fe1 Fe 0.000 0.500 0.264
Fe2 Fe 0.250 0.000 0.385
Sn1 Sn 0.000 0.249 0.632
S1 S 0.000 0.214 0.380
S2 S 0.000 0.292 0.885
S3 S 0.239 0.500 0.113
S4 S 0.248 0.000 0.158
```

- Total magnetic moment: 4.00 μB/f.u.
- Energy: -5.22 eV/atom
- Energy of formation from the pure elements: -0.6684 eV/atom
- Total energy after the MP2020 corrections: -154.276 eV for the cell shown
- V: 18.59 Å³ per atom

No. 2
Entry from the Materials Project database: Ta2FeS4 after structural relaxation (GGA-PBE).

Geometry as CIF:
```
data_Ta2FeS4
_space_group_name_H-M_alt 'P -3 m 1'
_space_group_IT_number 164
_space_group_name_Hall '-P 3 2"'
_cell_length_a 3.3238
_cell_length_b 3.3238
_cell_length_c 11.9169
_cell_angle_alpha 90.00
_cell_angle_beta 90.00
_cell_angle_gamma 120.00
loop_
_atom_site_label
_atom_site_type_symbol
_atom_site_fract_x
_atom_site_fract_y
_atom_site_fract_z
Ta1 Ta 0.0000 0.0000 0.2403
Fe1 Fe 0.0000 0.0000 0.0000
S1 S 0.3333 0.6667 0.6288
S2 S 0.3333 0.6667 0.8959
```

- Total magnetic moment: 0.00 μB/f.u.
- Energy: -7.82 eV/atom
- Energy of formation from the pure elements: -1.1412 eV/atom
- Total energy after the MP2020 corrections: -56.720 eV for the cell shown
- V: 16.29 Å³ per atom